Record 1
First-principles (PBE-GGA) data for a relaxed structure of Mn2Nb9Ge8, as listed in the Materials Project.

abc: 14.0026 5.3365 16.8490
angles: 90.00 90.00 90.00
Space group Pnma (No. 62)
Unique sites:
Mn (0.1362, 0.2500, 0.1606) x4
Mn (0.1935, 0.7500, 0.7494) x4
Nb (0.0495, 0.7500, 0.5949) x4
Nb (0.0588, 0.0004, 0.8798) x8
Nb (0.0668, 0.2500, 0.6954) x4
Nb (0.1257, 0.2500, 0.4973) x4
Nb (0.1291, 0.7500, 0.0417) x4
Nb (0.1356, 0.0036, 0.3239) x8
Nb (0.2471, 0.7500, 0.4727) x4
Ge (0.0108, 0.7500, 0.7470) x4
Ge (0.0486, 0.7500, 0.4397) x4
Ge (0.0614, 0.2500, 0.0202) x4
Ge (0.0869, 0.7500, 0.1944) x4
Ge (0.2032, 0.2500, 0.8053) x4
Ge (0.2192, 0.0026, 0.6193) x8
Ge (0.2245, 0.7500, 0.9026) x4

Results
magnetic moment: 0.236 μB per atom
calculated formation energy: -6.9 eV per formula unit
V: 1259.0 Å³ per cell

=====

Record 2
First-principles (PBE-GGA) data for a relaxed structure of SbIO2F8, as listed in the Materials Project.

abc: 5.9034 10.2487 12.9560
angles: 90.00 102.55 90.00
Space group P2_1/c (No. 14)
Unique sites:
Sb (0.0023, 0.2485, 0.4906) x4
I (0.2734, 0.0089, 0.1814) x4
O (0.0946, 0.1536, 0.1354) x4
O (0.2005, 0.5849, 0.5577) x4
F (0.0398, 0.5622, 0.7398) x4
F (0.1101, 0.6720, 0.1437) x4
F (0.1889, 0.1059, 0.5494) x4
F (0.2524, 0.6937, 0.9532) x4
F (0.2525, 0.1677, 0.9466) x4
F (0.3712, 0.0941, 0.3099) x4
F (0.4623, 0.5752, 0.3557) x4
F (0.4628, 0.6255, 0.7475) x4

Results
magnetic moment: 0.000 μB per atom
calculated formation energy: -23.4 eV per formula unit
V: 765.1 Å³ per cell

=====

Record 3
First-principles (PBE-GGA) data for a relaxed structure of Na6Ge2S7, as listed in the Materials Project.

abc: 9.1841 10.5681 15.2421
angles: 90.00 104.76 90.00
Space group C2/c (No. 15)
Unique sites:
Na (0.0000, 0.0000, 0.0000) x4
Na (0.0000, 0.0787, 0.2500) x4
Na (0.1147, 0.3537, 0.5735) x8
Na (0.2304, 0.2222, 0.8612) x8
Ge (0.1567, 0.4186, 0.3601) x8
S (0.0000, 0.4616, 0.7500) x4
S (0.0519, 0.2431, 0.3942) x8
S (0.1322, 0.1251, 0.6798) x8
S (0.1971, 0.4372, 0.9714) x8

Results
calculated formation energy: -17.3 eV per formula unit
V: 1430.5 Å³ per cell

=====

Record 4
First-principles (PBE-GGA) data for a relaxed structure of Al2Si3Sn3O12, as listed in the Materials Project.

abc: 12.3182 12.3182 12.3182
angles: 90.00 90.00 90.00
Space group Ia-3d (No. 230)
Unique sites:
Al (0.0000, 0.0000, 0.0000) x16
Si (0.0000, 0.2500, 0.3750) x24
Sn (0.0000, 0.2500, 0.1250) x24
O (0.0381, 0.1495, 0.9577) x96

Results
magnetic moment: 0.000 μB per atom
calculated formation energy: -52.9 eV per formula unit
V: 1869.2 Å³ per cell

=====

Record 5
First-principles (PBE-GGA) data for a relaxed structure of Ce2InCuSe5, as listed in the Materials Project.

abc: 12.1195 4.0940 17.3505
angles: 90.00 90.00 90.00
Space group Pnma (No. 62)
Unique sites:
Ce (0.0243, 0.2500, 0.1794) x4
Ce (0.1366, 0.7500, 0.5944) x4
In (0.1909, 0.7500, 0.3606) x4
Cu (0.0793, 0.7500, 0.9953) x4
Se (0.0181, 0.2500, 0.6956) x4
Se (0.0990, 0.2500, 0.9206) x4
Se (0.1067, 0.2500, 0.4643) x4
Se (0.1832, 0.7500, 0.1137) x4
Se (0.2368, 0.7500, 0.7680) x4

Results
magnetic moment: 0.220 μB per atom
calculated formation energy: -13.1 eV per formula unit
V: 860.9 Å³ per cell

=====

Record 6
First-principles (PBE-GGA) data for a relaxed structure of AgAsF7, as listed in the Materials Project.

abc: 7.8534 7.2204 10.0120
angles: 90.00 90.00 90.00
Space group Pnma (No. 62)
Unique sites:
Ag (0.1361, 0.2500, 0.2428) x4
As (0.1997, 0.7500, 0.0599) x4
F (0.0064, 0.2500, 0.0174) x4
F (0.1008, 0.2500, 0.6347) x4
F (0.1110, 0.7500, 0.6938) x4
F (0.1256, 0.5753, 0.1707) x8
F (0.2328, 0.0778, 0.4420) x8

Results
calculated formation energy: -19.0 eV per formula unit
V: 567.7 Å³ per cell

=====

Record 7
First-principles (PBE-GGA) data for a relaxed structure of ErCuPb, as listed in the Materials Project.

abc: 4.6236 4.6236 7.2221
angles: 90.00 90.00 120.00
Space group P6_3/mmc (No. 194)
Unique sites:
Er (0.0000, 0.0000, 0.0000) x2
Cu (0.3333, 0.6667, 0.2500) x2
Pb (0.3333, 0.6667, 0.7500) x2

Results
magnetic moment: 0.000 μB per atom
calculated formation energy: -0.9 eV per formula unit
V: 133.7 Å³ per cell

=====

Record 8
First-principles (PBE-GGA) data for a relaxed structure of LiIO, as listed in the Materials Project.

abc: 4.0872 4.0872 3.5291
angles: 90.00 90.00 90.00
Space group P4/mmm (No. 123)
Unique sites:
Li (0.0000, 0.0000, 0.0000) x1
I (0.5000, 0.5000, 0.0000) x1
O (0.0000, 0.0000, 0.5000) x1

Results
magnetic moment: 0.000 μB per atom
calculated formation energy: -1.2 eV per formula unit
V: 59.0 Å³ per cell

=====

Record 9
First-principles (PBE-GGA) data for a relaxed structure of AlInBr4, as listed in the Materials Project.

abc: 9.1761 7.5555 13.3198
angles: 90.00 105.90 90.00
Space group P2/c (No. 13)
Unique sites:
Al (0.2157, 0.2151, 0.4551) x4
In (0.0000, 0.3597, 0.7500) x2
In (0.5000, 0.1032, 0.2500) x2
Br (0.0426, 0.2580, 0.1016) x4
Br (0.2883, 0.0657, 0.9151) x4
Br (0.3016, 0.2575, 0.6368) x4
Br (0.3345, 0.4220, 0.3740) x4

Results
calculated formation energy: -8.3 eV per formula unit
V: 888.1 Å³ per cell

=====

Record 10
First-principles (PBE-GGA) data for a relaxed structure of NaSmC2O6, as listed in the Materials Project.

abc: 5.1447 6.3689 7.0816
angles: 90.00 90.00 90.00
Space group Pmc2_1 (No. 26)
Unique sites:
Na (0.0000, 0.0177, 0.0000) x2
Sm (0.5000, 0.3694, 0.3005) x2
C (0.0000, 0.4642, 0.9710) x2
C (0.5000, 0.0802, 0.7151) x2
O (0.0000, 0.3573, 0.3852) x2
O (0.2224, 0.3754, 0.0073) x4
O (0.2871, 0.0175, 0.2525) x4
O (0.5000, 0.2668, 0.6363) x2

Results
magnetic moment: 0.000 μB per atom
calculated formation energy: -25.2 eV per formula unit
V: 232.0 Å³ per cell